The following is a DFT calculation (PBE-GGA) of crystalline GaSe at its relaxed geometry.

It has space group P-6m2 (No. 187), with a = 3.8191 Å, b = 3.8191 Å, c = 17.8018 Å, α = 90.00°, β = 90.00° and γ = 120.00°. The inequivalent atoms are Ga at (0.0000, 0.0000, 0.0694), Ga at (0.3333, 0.6667, 0.4306), Se at (0.0000, 0.0000, 0.3647) and Se at (0.6667, 0.3333, 0.1353).

The calculation puts the formation enthalpy at 0 K at -0.8272 eV/atom. Its mass density is 4.39 Mg/m³. The largest piezoelectric modulus is 0.225 C/m2. The total energy comes out at -0.14160 Ha/atom.